# Rb3InF6 r²SCAN optimized geometry
# ΔE_f in meV/atom: -2913.4
# Final energy in eV per atom: -11.226
data_Rb3InF6
_symmetry_space_group_name_H-M 'F m -3 m'
_symmetry_Int_Tables_number 225
_symmetry_space_group_name_Hall '-F 4 2 3'
_cell_length_a 9.3543
_cell_length_b 9.3543
_cell_length_c 9.3543
_cell_angle_alpha 90.00
_cell_angle_beta 90.00
_cell_angle_gamma 90.00
loop_
_atom_site_label
_atom_site_fract_x
_atom_site_fract_y
_atom_site_fract_z
_atom_site_occupancy
Rb1 0.0000 0.0000 0.0000 1
Rb2 0.2500 0.2500 0.2500 1
In1 0.0000 0.0000 0.5000 1
F1 0.0000 0.0000 0.2782 1